# Na4MgZr3P6O24 PBE-GGA relaxed
data_Na4MgZr3P6O24
_cell_length_a 8.9712
_cell_length_b 8.9855
_cell_length_c 22.9767
_cell_angle_alpha 89.98
_cell_angle_beta 89.97
_cell_angle_gamma 60.09
_symmetry_space_group_name_H-M 'P 1'
_symmetry_Int_Tables_number 1
loop_
_symmetry_equiv_pos_as_xyz
'x,y,z'
loop_
_atom_site_label
_atom_site_fract_x
_atom_site_fract_y
_atom_site_fract_z
Na1 0.0000 0.0000 0.0000
Na2 0.9996 0.0146 0.4917
Na3 0.0132 0.3568 0.2430
Na4 0.0311 0.6754 0.4127
Na5 0.3188 0.3468 0.8293
Na6 0.3450 0.3204 0.3304
Na7 0.3581 0.6284 0.2426
Na8 0.3641 0.0087 0.7407
Na9 0.6262 0.3613 0.7405
Na10 0.6303 0.0121 0.2430
Na11 0.6668 0.6663 0.1592
Na12 0.6823 0.6651 0.6593
Mg1 0.3250 0.3403 0.6805
Mg2 0.3337 0.3328 0.1789
Mg3 0.9992 0.0075 0.3507
Zr1 0.0004 0.9998 0.1442
Zr2 0.0003 0.9952 0.6415
Zr3 0.0012 0.9973 0.8525
Zr4 0.3348 0.3320 0.9810
Zr5 0.3389 0.3270 0.4815
Zr6 0.6637 0.6662 0.3153
Zr7 0.6642 0.6658 0.5184
Zr8 0.6666 0.6660 0.0191
Zr9 0.6726 0.6655 0.8135
P1 0.0028 0.2901 0.7476
P2 0.0030 0.7058 0.2514
P3 0.0418 0.3340 0.0848
P4 0.0431 0.6208 0.5818
P5 0.2896 0.0031 0.2498
P6 0.2918 0.7039 0.7483
P7 0.3338 0.6237 0.0849
P8 0.3360 0.0407 0.5857
P9 0.3660 0.6700 0.4149
P10 0.3750 0.9601 0.9145
P11 0.6244 0.0409 0.0849
P12 0.6239 0.3346 0.5858
P13 0.6658 0.3737 0.9143
P14 0.6696 0.9618 0.4142
P15 0.7055 0.0019 0.7478
P16 0.7074 0.2885 0.2500
P17 0.9618 0.3676 0.4150
P18 0.9618 0.6649 0.9163
O1 0.0226 0.1709 0.0867
O2 0.0240 0.1773 0.8020
O3 0.0240 0.8032 0.5861
O4 0.0283 0.7852 0.3064
O5 0.1174 0.3569 0.1409
O6 0.1272 0.5128 0.6348
O7 0.1369 0.3648 0.4204
O8 0.1407 0.5040 0.9208
O9 0.1458 0.5413 0.5245
O10 0.1542 0.3137 0.0306
O11 0.1583 0.5244 0.2425
O12 0.1640 0.3049 0.7428
O13 0.1708 0.8057 0.0868
O14 0.1726 0.0219 0.5875
O15 0.1780 0.0298 0.3025
O16 0.1833 0.7959 0.8030
O17 0.1870 0.8260 0.4109
O18 0.1949 0.9774 0.9097
O19 0.2072 0.8224 0.6952
O20 0.2090 0.9685 0.1948
O21 0.3139 0.1537 0.5315
O22 0.3139 0.5317 0.0307
O23 0.3182 0.1575 0.2421
O24 0.3202 0.5230 0.7437
O25 0.3506 0.5051 0.4202
O26 0.3570 0.1391 0.9202
O27 0.3567 0.5255 0.1410
O28 0.3599 0.1164 0.6417
O29 0.4658 0.6845 0.4671
O30 0.4677 0.8460 0.9671
O31 0.4728 0.6930 0.7542
O32 0.4734 0.8351 0.2541
O33 0.4755 0.6443 0.3584
O34 0.4803 0.8750 0.8582
O35 0.4936 0.6465 0.0758
O36 0.4946 0.8594 0.5759
O37 0.5043 0.3563 0.9201
O38 0.5063 0.1396 0.4203
O39 0.5246 0.3167 0.2419
O40 0.5252 0.3564 0.6418
O41 0.5259 0.1168 0.1409
O42 0.5267 0.1623 0.7442
O43 0.5318 0.3140 0.5317
O44 0.5332 0.1532 0.0307
O45 0.6431 0.8774 0.3578
O46 0.6453 0.4789 0.8579
O47 0.6461 0.8592 0.0758
O48 0.6466 0.4937 0.5764
O49 0.6828 0.8411 0.7536
O50 0.6877 0.4664 0.9669
O51 0.6885 0.8430 0.4660
O52 0.6913 0.4725 0.2546
O53 0.7913 0.1767 0.3026
O54 0.7978 0.0222 0.8018
O55 0.8060 0.1717 0.5870
O56 0.8070 0.0213 0.0869
O57 0.8182 0.9754 0.6939
O58 0.8235 0.2084 0.1950
O59 0.8280 0.1941 0.9092
O60 0.8344 0.4679 0.7542
O61 0.8340 0.9706 0.4097
O62 0.8350 0.6895 0.2542
O63 0.8472 0.4684 0.4673
O64 0.8503 0.6871 0.9697
O65 0.8594 0.4933 0.0758
O66 0.8587 0.6472 0.5745
O67 0.8728 0.6441 0.8613
O68 0.8773 0.4830 0.3592
O69 0.9696 0.2041 0.6947
O70 0.9706 0.8257 0.1979
O71 0.9786 0.8272 0.9102
O72 0.9808 0.1922 0.4102
# MP2020-corrected energy, eV/atom: -7.875
# Spin magnetization, μB per atom: 0.000
# Energy relative to the elements, meV/atom: -3039